SmH3O3 | PBE | optimized geometry

a b c (Å): 6.414 3.635 6.500
angles (deg): 90.00 118.96 90.00
Fractional coordinates of all 14 atoms:
Sm  0.160  0.250  0.327
Sm  0.840  0.750  0.673
H  0.228  0.250  0.864
H  0.358  0.750  0.696
H  0.371  0.750  0.144
H  0.629  0.250  0.856
H  0.642  0.250  0.304
H  0.772  0.750  0.136
O  0.110  0.250  0.917
O  0.186  0.750  0.595
O  0.416  0.750  0.311
O  0.584  0.250  0.689
O  0.814  0.250  0.405
O  0.890  0.750  0.083

Properties
Calculated volume, Å³/atom: 9.5
Total DFT energy (no corrections), eV per atom: -6.18
ΔH_f (0 K), meV/atom: -2224

=====

KTa2PO8 | PBE | optimized geometry

a b c (Å): 8.464 8.464 8.464
angles (deg): 104.06 104.06 104.06
Fractional coordinates of all 36 atoms:
K  0.030  0.640  0.330
K  0.330  0.030  0.640
K  0.640  0.330  0.030
Ta  0.080  0.763  0.890
Ta  0.378  0.568  0.696
Ta  0.568  0.696  0.378
Ta  0.696  0.378  0.568
Ta  0.763  0.890  0.080
Ta  0.890  0.080  0.763
P  0.005  0.229  0.452
P  0.229  0.452  0.005
P  0.452  0.005  0.229
O  0.022  0.146  0.598
O  0.044  0.936  0.792
O  0.085  0.281  0.963
O  0.146  0.598  0.022
O  0.175  0.372  0.493
O  0.228  0.703  0.753
O  0.281  0.963  0.085
O  0.312  0.436  0.860
O  0.372  0.493  0.175
O  0.412  0.665  0.521
O  0.436  0.860  0.312
O  0.493  0.175  0.372
O  0.521  0.412  0.665
O  0.575  0.729  0.882
O  0.598  0.022  0.146
O  0.665  0.521  0.412
O  0.703  0.753  0.228
O  0.729  0.882  0.575
O  0.753  0.228  0.703
O  0.792  0.044  0.936
O  0.860  0.312  0.436
O  0.882  0.575  0.729
O  0.936  0.792  0.044
O  0.963  0.085  0.281

Properties
Calculated volume, Å³/atom: 15.0
Total DFT energy (no corrections), eV per atom: -8.47
ΔH_f (0 K), meV/atom: -3106

=====

K3InP2O8 | PBE | optimized geometry

a b c (Å): 9.794 9.794 9.956
angles (deg): 90.19 90.19 71.27
Fractional coordinates of all 56 atoms:
K  0.105  0.895  0.750
K  0.132  0.359  0.207
K  0.304  0.515  0.909
K  0.359  0.132  0.707
K  0.360  0.640  0.250
K  0.485  0.696  0.591
K  0.515  0.304  0.409
K  0.640  0.360  0.750
K  0.641  0.868  0.293
K  0.696  0.485  0.091
K  0.868  0.641  0.793
K  0.895  0.105  0.250
In  0.013  0.736  0.425
In  0.264  0.987  0.075
In  0.736  0.013  0.925
In  0.987  0.264  0.575
P  0.037  0.764  0.084
P  0.203  0.498  0.572
P  0.236  0.963  0.416
P  0.498  0.203  0.072
P  0.502  0.797  0.928
P  0.764  0.037  0.584
P  0.797  0.502  0.428
P  0.963  0.236  0.916
O  0.027  0.181  0.775
O  0.080  0.166  0.024
O  0.087  0.600  0.074
O  0.093  0.642  0.630
O  0.150  0.369  0.606
O  0.166  0.080  0.524
O  0.172  0.814  0.053
O  0.181  0.027  0.275
O  0.186  0.828  0.447
O  0.201  0.524  0.415
O  0.356  0.467  0.630
O  0.358  0.907  0.870
O  0.369  0.150  0.106
O  0.400  0.913  0.426
O  0.467  0.356  0.130
O  0.476  0.799  0.085
O  0.524  0.201  0.915
O  0.533  0.644  0.870
O  0.600  0.087  0.574
O  0.631  0.850  0.894
O  0.642  0.093  0.130
O  0.644  0.533  0.370
O  0.799  0.476  0.585
O  0.814  0.172  0.553
O  0.819  0.973  0.725
O  0.828  0.186  0.947
O  0.834  0.920  0.476
O  0.850  0.631  0.394
O  0.907  0.358  0.370
O  0.913  0.400  0.926
O  0.920  0.834  0.976
O  0.973  0.819  0.225

Properties
Calculated volume, Å³/atom: 16.2
Total DFT energy (no corrections), eV per atom: -6.21
ΔH_f (0 K), meV/atom: -2570

=====

NpPd3 | PBE | optimized geometry

a b c (Å): 4.139 4.139 4.139
angles (deg): 90.00 90.00 90.00
Fractional coordinates of all 4 atoms:
Np  0.000  0.000  0.000
Pd  0.000  0.500  0.500
Pd  0.500  0.000  0.500
Pd  0.500  0.500  0.000

Properties
ΔE to the lowest computed polymorph, eV/atom: 0.2911
Calculated volume, Å³/atom: 17.7
Total DFT energy (no corrections), eV per atom: -7.28
ΔH_f (0 K), meV/atom: -154

=====

CeAsSe | PBE | optimized geometry

a b c (Å): 5.753 5.737 17.375
angles (deg): 90.00 90.00 90.00
Fractional coordinates of all 24 atoms:
Ce  0.005  0.250  0.135
Ce  0.005  0.750  0.361
Ce  0.495  0.250  0.861
Ce  0.495  0.750  0.635
Ce  0.505  0.250  0.365
Ce  0.505  0.750  0.139
Ce  0.995  0.250  0.639
Ce  0.995  0.750  0.865
As  0.232  0.001  0.500
As  0.232  0.499  0.500
As  0.268  0.501  0.000
As  0.268  0.999  0.000
As  0.732  0.001  0.000
As  0.732  0.499  0.000
As  0.768  0.501  0.500
As  0.768  0.999  0.500
Se  0.007  0.250  0.314
Se  0.007  0.750  0.182
Se  0.493  0.250  0.682
Se  0.493  0.750  0.814
Se  0.507  0.250  0.186
Se  0.507  0.750  0.318
Se  0.993  0.250  0.818
Se  0.993  0.750  0.686

Properties
Calculated volume, Å³/atom: 23.9
Total DFT energy (no corrections), eV per atom: -6.14
ΔH_f (0 K), meV/atom: -1604

=====

UGe2 | PBE | optimized geometry

a b c (Å): 7.405 7.405 4.212
angles (deg): 90.00 90.00 148.13
Fractional coordinates of all 6 atoms:
U  0.147  0.853  0.000
U  0.853  0.147  0.000
Ge  0.000  0.000  0.500
Ge  0.316  0.684  0.500
Ge  0.500  0.500  0.000
Ge  0.684  0.316  0.500

Properties
Calculated volume, Å³/atom: 20.3
Total DFT energy (no corrections), eV per atom: -7.11
ΔH_f (0 K), meV/atom: -265

=====

PmTh3 | PBE | optimized geometry

a b c (Å): 5.066 5.066 5.066
angles (deg): 90.00 90.00 90.00
Fractional coordinates of all 4 atoms:
Pm  0.000  0.000  0.000
Th  0.000  0.500  0.500
Th  0.500  0.000  0.500
Th  0.500  0.500  0.000

Properties
Calculated volume, Å³/atom: 32.5
Total DFT energy (no corrections), eV per atom: -6.70
ΔH_f (0 K), meV/atom: 44

=====

Ba4Cu3SeO12 | PBE | optimized geometry

a b c (Å): 7.000 7.000 7.000
angles (deg): 109.47 109.47 109.47
Fractional coordinates of all 20 atoms:
Ba  0.000  0.000  0.500
Ba  0.000  0.500  0.000
Ba  0.500  0.000  0.000
Ba  0.500  0.500  0.500
Cu  0.000  0.500  0.500
Cu  0.500  0.000  0.500
Cu  0.500  0.500  0.000
Se  0.000  0.000  0.000
O  0.000  0.230  0.230
O  0.000  0.770  0.770
O  0.230  0.000  0.230
O  0.230  0.230  0.000
O  0.250  0.500  0.750
O  0.250  0.750  0.500
O  0.500  0.250  0.750
O  0.500  0.750  0.250
O  0.750  0.250  0.500
O  0.750  0.500  0.250
O  0.770  0.000  0.770
O  0.770  0.770  0.000

Properties
Calculated volume, Å³/atom: 13.2
Total DFT energy (no corrections), eV per atom: -5.53
ΔH_f (0 K), meV/atom: -1799

=====

Na4LaSi2GePO12 | PBE | optimized geometry

a b c (Å): 9.481 9.481 21.803
angles (deg): 91.81 88.19 120.62
Fractional coordinates of all 126 atoms:
Na  0.665  0.964  0.583
Na  0.641  0.006  0.249
Na  0.692  0.031  0.912
Na  0.369  0.002  0.749
Na  0.026  0.698  0.579
Na  0.676  0.339  0.335
Na  0.975  0.672  0.916
Na  0.009  0.006  0.002
Na  0.328  0.658  0.168
Na  0.359  0.365  0.246
Na  0.331  0.297  0.916
Na  0.342  0.672  0.668
Na  0.661  0.324  0.835
Na  0.328  0.025  0.416
Na  0.998  0.631  0.249
Na  0.635  0.641  0.746
Na  0.994  0.991  0.502
Na  0.308  0.339  0.583
Na  0.969  0.308  0.412
Na  0.661  0.692  0.083
Na  0.703  0.669  0.416
Na  0.302  0.974  0.079
Na  0.994  0.359  0.749
Na  0.036  0.335  0.083
O  0.175  0.048  0.591
O  0.041  0.197  0.193
O  0.997  0.766  0.810
O  0.818  0.532  0.030
O  0.533  0.675  0.578
O  0.842  0.301  0.528
O  0.239  0.225  0.817
O  0.867  0.824  0.588
O  0.708  0.530  0.526
O  0.509  0.634  0.861
O  0.992  0.801  0.412
O  0.135  0.516  0.863
O  0.618  0.158  0.424
O  0.778  0.009  0.815
O  0.842  0.382  0.924
O  0.136  0.448  0.573
O  0.175  0.967  0.195
O  0.311  0.856  0.576
O  0.200  0.491  0.255
O  0.442  0.094  0.650
O  0.470  0.114  0.240
O  0.509  0.800  0.755
O  0.699  0.158  0.028
O  0.195  0.717  0.747
O  0.324  0.889  0.982
O  0.484  0.865  0.363
O  0.108  0.428  0.983
O  0.803  0.781  0.906
O  0.552  0.864  0.073
O  0.950  0.138  0.580
O  0.866  0.342  0.245
O  0.658  0.134  0.745
O  0.906  0.558  0.150
O  0.802  0.849  0.197
O  0.843  0.466  0.421
O  0.199  0.008  0.912
O  0.374  0.863  0.860
O  0.470  0.292  0.026
O  0.803  0.959  0.693
O  0.176  0.133  0.088
O  0.567  0.670  0.977
O  0.534  0.157  0.921
O  0.366  0.491  0.361
O  0.477  0.355  0.742
O  0.862  0.050  0.080
O  0.234  0.003  0.310
O  0.445  0.342  0.148
O  0.775  0.761  0.317
O  0.219  0.197  0.406
O  0.645  0.523  0.242
O  0.033  0.825  0.695
O  0.144  0.689  0.076
O  0.811  0.022  0.409
O  0.901  0.337  0.643
O  0.468  0.182  0.530
O  0.663  0.099  0.143
O  0.572  0.892  0.483
O  0.151  0.198  0.697
O  0.137  0.626  0.360
O  0.616  0.471  0.913
O  0.952  0.825  0.091
O  0.509  0.715  0.257
O  0.111  0.676  0.482
O  0.330  0.433  0.477
O  0.991  0.222  0.315
O  0.325  0.467  0.078
O  0.978  0.189  0.909
O  0.285  0.491  0.757
O  0.658  0.555  0.648
O  0.886  0.530  0.740
O  0.283  0.805  0.247
O  0.529  0.384  0.413
La  0.662  0.331  0.676
La  0.336  0.671  0.509
La  0.002  0.005  0.843
La  0.995  0.998  0.343
La  0.669  0.338  0.176
La  0.329  0.664  0.009
P  0.692  0.042  0.081
P  0.291  0.975  0.247
P  0.358  0.375  0.414
P  0.025  0.709  0.747
P  0.625  0.642  0.914
P  0.958  0.308  0.581
Ge  0.998  0.998  0.649
Ge  0.669  0.335  0.482
Ge  0.665  0.331  0.982
Ge  0.332  0.664  0.316
Ge  0.002  0.002  0.149
Ge  0.336  0.668  0.816
Si  0.355  0.315  0.085
Si  0.958  0.648  0.085
Si  0.352  0.042  0.585
Si  0.688  0.981  0.751
Si  0.019  0.312  0.251
Si  0.685  0.645  0.585
Si  0.352  0.978  0.918
Si  0.018  0.376  0.919
Si  0.624  0.982  0.419
Si  0.291  0.315  0.752
Si  0.022  0.648  0.418
Si  0.685  0.709  0.252

Properties
Calculated volume, Å³/atom: 13.4
Total DFT energy (no corrections), eV per atom: -6.60
ΔH_f (0 K), meV/atom: -2687

=====

NaCa9TaTi9Si10O50 | PBE | optimized geometry

a b c (Å): 5.509 7.516 24.430
angles (deg): 81.96 88.06 72.49
Fractional coordinates of all 80 atoms:
Na  0.000  0.000  0.000
Ca  0.027  0.625  0.431
Ca  0.206  0.788  0.599
Ca  0.239  0.408  0.027
Ca  0.404  0.590  0.201
Ca  0.426  0.225  0.631
Ca  0.607  0.388  0.799
Ca  0.626  0.025  0.231
Ca  0.807  0.187  0.399
Ca  0.830  0.821  0.830
Ta  0.615  0.712  0.014
Ti  0.014  0.310  0.216
Ti  0.117  0.206  0.515
Ti  0.219  0.102  0.814
Ti  0.308  0.012  0.117
Ti  0.415  0.907  0.416
Ti  0.518  0.805  0.715
Ti  0.716  0.607  0.316
Ti  0.817  0.506  0.615
Ti  0.921  0.398  0.914
Si  0.115  0.527  0.728
Si  0.119  0.884  0.302
Si  0.314  0.329  0.330
Si  0.323  0.679  0.899
Si  0.514  0.133  0.927
Si  0.520  0.483  0.501
Si  0.714  0.928  0.529
Si  0.719  0.284  0.103
Si  0.911  0.729  0.130
Si  0.921  0.083  0.701
O  0.010  0.210  0.079
O  0.025  0.412  0.355
O  0.060  0.515  0.160
O  0.064  0.328  0.579
O  0.090  0.853  0.147
O  0.106  0.529  0.661
O  0.128  0.882  0.369
O  0.140  0.560  0.882
O  0.170  0.084  0.451
O  0.179  0.896  0.871
O  0.209  0.000  0.675
O  0.228  0.217  0.953
O  0.261  0.128  0.180
O  0.261  0.312  0.758
O  0.295  0.650  0.746
O  0.304  0.331  0.262
O  0.339  0.361  0.484
O  0.341  0.670  0.967
O  0.365  0.887  0.052
O  0.374  0.699  0.472
O  0.408  0.801  0.276
O  0.426  0.011  0.554
O  0.460  0.112  0.358
O  0.466  0.928  0.778
O  0.495  0.451  0.347
O  0.507  0.129  0.860
O  0.529  0.482  0.569
O  0.540  0.160  0.086
O  0.568  0.497  0.071
O  0.571  0.683  0.651
O  0.612  0.600  0.874
O  0.622  0.811  0.155
O  0.652  0.915  0.957
O  0.664  0.729  0.379
O  0.690  0.257  0.945
O  0.705  0.930  0.461
O  0.723  0.287  0.170
O  0.739  0.961  0.683
O  0.769  0.483  0.252
O  0.775  0.299  0.672
O  0.808  0.400  0.476
O  0.826  0.611  0.754
O  0.860  0.712  0.558
O  0.872  0.528  0.978
O  0.896  0.050  0.546
O  0.900  0.723  0.063
O  0.930  0.080  0.768
O  0.939  0.761  0.284
O  0.972  0.100  0.273
O  0.972  0.280  0.851

Properties
Calculated volume, Å³/atom: 11.9
Total DFT energy (no corrections), eV per atom: -8.06
ΔH_f (0 K), meV/atom: -3443